First-principles (meta-GGA r2SCAN) data for a relaxed Sr4IrO6 crystal, as listed in Materials Project.

Structure (POSCAR):
```
Sr4IrO6
1.0
4.884 2.820 3.960
-4.884 2.820 3.960
0.000 -5.640 3.960
Sr Ir O
8 2 12
direct
0.116 0.750 0.384
0.250 0.250 0.250
0.250 0.616 0.884
0.384 0.116 0.750
0.616 0.884 0.250
0.750 0.384 0.116
0.750 0.750 0.750
0.884 0.250 0.616
0.000 0.000 0.000
0.500 0.500 0.500
0.059 0.928 0.715
0.072 0.285 0.941
0.215 0.428 0.559
0.285 0.941 0.072
0.428 0.559 0.215
0.441 0.785 0.572
0.559 0.215 0.428
0.572 0.441 0.785
0.715 0.059 0.928
0.785 0.572 0.441
0.928 0.715 0.059
0.941 0.072 0.285
```

Total moment, μB per formula unit: 1.00
Symmetry: R-3c, No. 167
Formation energy from the elements, eV per atom: -2.49

***

First-principles (meta-GGA r2SCAN) data for a relaxed Dy2Ge5Rh3 crystal, as listed in Materials Project.

Structure (POSCAR):
```
Dy2Ge5Rh3
1.0
5.702 -6.006 0.000
5.702 6.006 0.000
-2.831 0.000 5.146
Dy Ge Rh
4 10 6
direct
0.093 0.366 0.232
0.366 0.093 0.732
0.634 0.907 0.268
0.907 0.634 0.768
0.009 0.991 0.750
0.237 0.430 0.833
0.278 0.722 0.750
0.288 0.712 0.250
0.430 0.237 0.333
0.570 0.763 0.667
0.712 0.288 0.750
0.722 0.278 0.250
0.763 0.570 0.167
0.991 0.009 0.250
0.041 0.756 0.381
0.244 0.959 0.119
0.498 0.502 0.250
0.502 0.498 0.750
0.756 0.041 0.881
0.959 0.244 0.619
```

Total moment, μB per formula unit: 0.21
Symmetry: C2/c, No. 15
Formation energy from the elements, eV per atom: -0.84

***

First-principles (meta-GGA r2SCAN) data for a relaxed SiO2 crystal, as listed in Materials Project.

Structure (POSCAR):
```
SiO2
1.0
8.499 0.000 0.000
0.000 8.499 0.000
0.000 0.000 13.976
Si O
20 40
direct
0.000 0.500 0.250
0.000 0.500 0.750
0.073 0.251 0.109
0.073 0.251 0.891
0.073 0.749 0.391
0.073 0.749 0.609
0.251 0.073 0.391
0.251 0.073 0.609
0.251 0.927 0.109
0.251 0.927 0.891
0.500 0.000 0.250
0.500 0.000 0.750
0.749 0.073 0.109
0.749 0.073 0.891
0.749 0.927 0.391
0.749 0.927 0.609
0.927 0.251 0.391
0.927 0.251 0.609
0.927 0.749 0.109
0.927 0.749 0.891
0.091 0.313 0.000
0.091 0.687 0.500
0.106 0.192 0.374
0.106 0.192 0.626
0.106 0.808 0.126
0.106 0.808 0.874
0.110 0.391 0.182
0.110 0.391 0.818
0.110 0.609 0.318
0.110 0.609 0.682
0.192 0.106 0.126
0.192 0.106 0.874
0.192 0.894 0.374
0.192 0.894 0.626
0.313 0.091 0.500
0.313 0.909 0.000
0.391 0.110 0.318
0.391 0.110 0.682
0.391 0.890 0.182
0.391 0.890 0.818
0.609 0.110 0.182
0.609 0.110 0.818
0.609 0.890 0.318
0.609 0.890 0.682
0.687 0.091 0.000
0.687 0.909 0.500
0.808 0.106 0.374
0.808 0.106 0.626
0.808 0.894 0.126
0.808 0.894 0.874
0.890 0.391 0.318
0.890 0.391 0.682
0.890 0.609 0.182
0.890 0.609 0.818
0.894 0.192 0.126
0.894 0.192 0.874
0.894 0.808 0.374
0.894 0.808 0.626
0.909 0.313 0.500
0.909 0.687 0.000
```

Total moment, μB per formula unit: 0.00
Symmetry: P4/mcc, No. 124
Formation energy from the elements, eV per atom: -3.00